BaZn2Cu2As3 | PBE | optimized geometry

Computed properties:
magnetic moment	0.0	μB/cell
ρ	6.297	g/cm3
E	-3.73	eV per atom
E_form	-3.2	eV/f.u.

```
data_BaZn2Cu2As3
_cell_length_a 4.2100
_cell_length_b 12.7511
_cell_length_c 12.1831
_cell_angle_alpha 90.00
_cell_angle_beta 90.00
_cell_angle_gamma 90.00
_space_group_name_H-M_alt 'C m c m'
_space_group_IT_number 63
_space_group_name_Hall '-C 2c 2'
loop_
_atom_site_label
_atom_site_fract_x
_atom_site_fract_y
_atom_site_fract_z
Ba1 0.0000 0.1841 0.2500
Zn1 0.0000 0.1674 0.5584
Cu1 0.0000 0.4580 0.1439
As1 0.0000 0.0891 0.7500
As2 0.0000 0.3748 0.5456
```


LiEuH3 | PBE | optimized geometry

Computed properties:
total energy after the MP2020 corrections	-5.088	eV per atom
ρ	5.195	g/cm3
E	-4.98	eV per atom
E_form	-3.1	eV/f.u.

```
data_LiEuH3
_cell_length_a 3.7267
_cell_length_b 3.7267
_cell_length_c 3.7267
_cell_angle_alpha 90.00
_cell_angle_beta 90.00
_cell_angle_gamma 90.00
_space_group_name_H-M_alt 'P m -3 m'
_space_group_IT_number 221
_space_group_name_Hall '-P 4 2 3'
loop_
_atom_site_label
_atom_site_fract_x
_atom_site_fract_y
_atom_site_fract_z
Li1 0.0000 0.0000 0.0000
Eu1 0.5000 0.5000 0.5000
H1 0.0000 0.0000 0.5000
```


AgSO4 | PBE | optimized geometry

Computed properties:
total energy after the MP2020 corrections	-5.789	eV per atom
magnetic moment	1.6	μB/cell
ρ	4.262	g/cm3
E	-5.33	eV per atom
E_form	-8.0	eV/f.u.

```
data_AgSO4
_cell_length_a 14.9624
_cell_length_b 7.9502
_cell_length_c 10.6865
_cell_angle_alpha 90.00
_cell_angle_beta 90.29
_cell_angle_gamma 90.00
_space_group_name_H-M_alt 'P 1 21/c 1'
_space_group_IT_number 14
loop_
_space_group_symop_operation_xyz
'x,y,z'
'-x,-y,-z'
'-x,y+1/2,-z+1/2'
'x,-y+1/2,z+1/2'
loop_
_atom_site_label
_atom_site_fract_x
_atom_site_fract_y
_atom_site_fract_z
Ag1 0.1077 0.0067 0.3390
Ag2 0.1114 0.0224 0.8285
Ag3 0.3894 0.5103 0.0860
Ag4 0.3924 0.5143 0.5852
S1 0.0758 0.7457 0.0909
S2 0.2012 0.2427 0.0830
S3 0.2995 0.7466 0.8372
S4 0.4245 0.2504 0.3371
O1 0.0334 0.6032 0.6545
O2 0.0354 0.5866 0.1498
O3 0.0546 0.7488 0.9554
O4 0.1350 0.2362 0.1871
O5 0.1520 0.2470 0.9586
O6 0.1705 0.7445 0.1188
O7 0.2458 0.5903 0.8459
O8 0.2480 0.5951 0.3461
O9 0.2520 0.0985 0.5964
O10 0.2551 0.0868 0.0896
O11 0.3302 0.2500 0.3663
O12 0.3505 0.7459 0.7158
O13 0.3644 0.7441 0.9449
O14 0.4428 0.2471 0.7000
O15 0.4656 0.0930 0.8974
O16 0.4672 0.0961 0.3953
```